An optimized crystal structure of Gd3NbO7. Source: the Materials Project database, functional r²SCAN.

SG	C222_1, No. 20
total moment	42.00	μB per cell
calculated formation energy	-3.53	eV/atom

Cell: 6.542 6.542 7.553 Å, 90.00 90.00 108.92°
Element x y z (fractional)
Gd 0.033 0.033 0.000
Gd 0.036 0.499 0.259
Gd 0.499 0.036 0.741
Gd 0.501 0.964 0.241
Gd 0.964 0.501 0.759
Gd 0.967 0.967 0.500
Nb 0.498 0.498 0.500
Nb 0.502 0.502 0.000
O 0.129 0.871 0.750
O 0.139 0.861 0.250
O 0.172 0.417 0.977
O 0.194 0.448 0.545
O 0.417 0.172 0.023
O 0.432 0.568 0.250
O 0.448 0.194 0.455
O 0.552 0.806 0.955
O 0.568 0.432 0.750
O 0.583 0.828 0.523
O 0.806 0.552 0.045
O 0.828 0.583 0.477
O 0.861 0.139 0.750
O 0.871 0.129 0.250

=====

An optimized crystal structure of Gd3NbO7. Source: the Materials Project database, functional r²SCAN.

SG	P-1, No. 2
total moment	42.00	μB per cell
calculated formation energy	-3.53	eV/atom

Cell: 6.433 6.530 7.657 Å, 73.11 89.79 82.46°
Element x y z (fractional)
Gd 0.045 0.007 0.249
Gd 0.238 0.536 0.617
Gd 0.239 0.538 0.111
Gd 0.761 0.462 0.889
Gd 0.762 0.464 0.383
Gd 0.955 0.993 0.751
Nb 0.500 0.000 0.000
Nb 0.500 0.000 0.500
O 0.043 0.638 0.842
O 0.058 0.649 0.335
O 0.209 0.929 0.550
O 0.210 0.931 0.984
O 0.413 0.046 0.238
O 0.422 0.321 0.448
O 0.425 0.330 0.894
O 0.575 0.670 0.106
O 0.578 0.679 0.552
O 0.587 0.954 0.762
O 0.790 0.069 0.016
O 0.791 0.071 0.450
O 0.942 0.351 0.665
O 0.957 0.362 0.158

=====

An optimized crystal structure of Gd3NbO7. Source: the Materials Project database, functional r²SCAN.

SG	Cmcm, No. 63
total moment	42.00	μB per cell
calculated formation energy	-3.52	eV/atom

Cell: 6.510 6.510 7.592 Å, 90.00 90.00 109.72°
Element x y z (fractional)
Gd 0.000 0.000 0.000
Gd 0.000 0.000 0.500
Gd 0.035 0.500 0.750
Gd 0.500 0.035 0.250
Gd 0.500 0.965 0.750
Gd 0.965 0.500 0.250
Nb 0.500 0.500 0.000
Nb 0.500 0.500 0.500
O 0.129 0.871 0.250
O 0.136 0.864 0.750
O 0.179 0.427 0.032
O 0.179 0.427 0.468
O 0.427 0.179 0.532
O 0.427 0.179 0.968
O 0.434 0.566 0.750
O 0.566 0.434 0.250
O 0.573 0.821 0.032
O 0.573 0.821 0.468
O 0.821 0.573 0.532
O 0.821 0.573 0.968
O 0.864 0.136 0.250
O 0.871 0.129 0.750

=====

An optimized crystal structure of NdGd3. Source: the Materials Project database, functional r²SCAN.

SG	Pm-3m, No. 221
total moment	24.98	μB per cell
calculated formation energy	0.09	eV/atom

Cell: 5.204 5.204 5.204 Å, 90.00 90.00 90.00°
Element x y z (fractional)
Nd 0.000 0.000 0.000
Gd 0.000 0.500 0.500
Gd 0.500 0.000 0.500
Gd 0.500 0.500 0.000

=====

An optimized crystal structure of GdNi. Source: the Materials Project database, functional r²SCAN.

SG	Cmcm, No. 63
total moment	29.77	μB per cell
calculated formation energy	-0.32	eV/atom

Cell: 3.771 10.322 4.175 Å, 90.00 90.00 90.00°
Element x y z (fractional)
Gd 0.000 0.139 0.250
Gd 0.000 0.861 0.750
Gd 0.500 0.361 0.750
Gd 0.500 0.639 0.250
Ni 0.000 0.430 0.250
Ni 0.000 0.570 0.750
Ni 0.500 0.070 0.750
Ni 0.500 0.930 0.250

=====

An optimized crystal structure of GdNi2. Source: the Materials Project database, functional r²SCAN.

SG	Fd-3m, No. 227
total moment	14.08	μB per cell
calculated formation energy	-0.33	eV/atom

Cell: 5.053 5.053 5.053 Å, 60.00 60.00 60.00°
Element x y z (fractional)
Gd 0.125 0.125 0.125
Gd 0.875 0.875 0.875
Ni 0.000 0.500 0.500
Ni 0.500 0.000 0.500
Ni 0.500 0.500 0.000
Ni 0.500 0.500 0.500

=====

An optimized crystal structure of GdNiPb. Source: the Materials Project database, functional r²SCAN.

SG	Pm, No. 6
total moment	14.37	μB per cell
calculated formation energy	-0.45	eV/atom

Cell: 7.279 4.573 7.767 Å, 90.00 90.04 90.00°
Element x y z (fractional)
Gd 0.000 0.000 0.000
Gd 0.028 0.500 0.407
Gd 0.500 0.000 0.907
Gd 0.528 0.500 0.500
Ni 0.219 0.000 0.622
Ni 0.310 0.500 0.122
Ni 0.719 0.000 0.285
Ni 0.811 0.500 0.785
Pb 0.205 0.500 0.792
Pb 0.323 0.000 0.292
Pb 0.705 0.500 0.115
Pb 0.824 0.000 0.615

=====

An optimized crystal structure of GdNiSb. Source: the Materials Project database, functional r²SCAN.

SG	F-43m, No. 216
total moment	28.00	μB per cell
calculated formation energy	-0.94	eV/atom

Cell: 6.375 6.375 6.375 Å, 90.00 90.00 90.00°
Element x y z (fractional)
Gd 0.000 0.000 0.000
Gd 0.000 0.500 0.500
Gd 0.500 0.000 0.500
Gd 0.500 0.500 0.000
Ni 0.250 0.250 0.250
Ni 0.250 0.750 0.750
Ni 0.750 0.250 0.750
Ni 0.750 0.750 0.250
Sb 0.000 0.000 0.500
Sb 0.000 0.500 0.000
Sb 0.500 0.000 0.000
Sb 0.500 0.500 0.500

=====

An optimized crystal structure of Gd2P4O13. Source: the Materials Project database, functional r²SCAN.

SG	C222_1, No. 20
total moment	28.00	μB per cell
calculated formation energy	-2.90	eV/atom

Cell: 9.455 9.455 8.644 Å, 90.00 90.00 135.94°
Element x y z (fractional)
Gd 0.104 0.397 0.145
Gd 0.397 0.104 0.855
Gd 0.603 0.896 0.355
Gd 0.896 0.603 0.645
P 0.082 0.400 0.502
P 0.223 0.350 0.771
P 0.350 0.223 0.229
P 0.400 0.082 0.498
P 0.600 0.918 0.998
P 0.650 0.777 0.729
P 0.777 0.650 0.271
P 0.918 0.600 0.002
O 0.019 0.471 0.607
O 0.078 0.763 0.886
O 0.096 0.326 0.893
O 0.123 0.291 0.606
O 0.237 0.922 0.614
O 0.244 0.284 0.205
O 0.272 0.568 0.405
O 0.284 0.244 0.795
O 0.291 0.123 0.394
O 0.326 0.096 0.107
O 0.414 0.586 0.750
O 0.432 0.728 0.095
O 0.471 0.019 0.393
O 0.529 0.981 0.893
O 0.568 0.272 0.595
O 0.586 0.414 0.250
O 0.674 0.904 0.607
O 0.709 0.877 0.894
O 0.716 0.756 0.295
O 0.728 0.432 0.905
O 0.756 0.716 0.705
O 0.763 0.078 0.114
O 0.877 0.709 0.106
O 0.904 0.674 0.393
O 0.922 0.237 0.386
O 0.981 0.529 0.107

=====

An optimized crystal structure of GdP3O9. Source: the Materials Project database, functional r²SCAN.

SG	C222_1, No. 20
total moment	14.00	μB per cell
calculated formation energy	-2.74	eV/atom

Cell: 6.955 6.955 7.198 Å, 90.00 90.00 105.23°
Element x y z (fractional)
Gd 0.124 0.124 0.000
Gd 0.876 0.876 0.500
P 0.251 0.251 0.500
P 0.312 0.665 0.957
P 0.335 0.688 0.543
P 0.665 0.312 0.043
P 0.688 0.335 0.457
P 0.749 0.749 0.000
O 0.132 0.173 0.671
O 0.173 0.132 0.329
O 0.174 0.790 0.534
O 0.210 0.826 0.966
O 0.214 0.468 0.039
O 0.253 0.472 0.454
O 0.373 0.627 0.750
O 0.468 0.214 0.961
O 0.472 0.253 0.546
O 0.528 0.747 0.046
O 0.532 0.786 0.461
O 0.627 0.373 0.250
O 0.747 0.528 0.954
O 0.786 0.532 0.539
O 0.790 0.174 0.466
O 0.826 0.210 0.034
O 0.827 0.868 0.829
O 0.868 0.827 0.171

=====

An optimized crystal structure of YbGdP2O8. Source: the Materials Project database, functional r²SCAN.

SG	I-4m2, No. 119
total moment	7.00	μB per cell
calculated formation energy	-3.31	eV/atom

Cell: 5.716 5.716 5.716 Å, 106.07 106.07 116.51°
Element x y z (fractional)
Yb 0.000 0.000 0.000
Gd 0.750 0.250 0.500
P 0.250 0.750 0.500
P 0.500 0.500 0.000
O 0.094 0.416 0.322
O 0.094 0.771 0.678
O 0.165 0.338 0.828
O 0.229 0.906 0.322
O 0.510 0.338 0.172
O 0.584 0.906 0.678
O 0.662 0.490 0.828
O 0.662 0.835 0.172

=====

An optimized crystal structure of GdPaO4. Source: the Materials Project database, functional r²SCAN.

SG	I4_1/amd, No. 141
total moment	14.00	μB per cell
calculated formation energy	-4.01	eV/atom

Cell: 6.606 6.606 6.606 Å, 131.61 131.61 70.84°
Element x y z (fractional)
Gd 0.375 0.625 0.750
Gd 0.625 0.375 0.250
Pa 0.125 0.875 0.250
Pa 0.875 0.125 0.750
O 0.000 0.236 0.236
O 0.000 0.764 0.764
O 0.236 0.000 0.736
O 0.236 0.500 0.236
O 0.500 0.236 0.736
O 0.500 0.764 0.264
O 0.764 0.000 0.264
O 0.764 0.500 0.764

=====

An optimized crystal structure of GdPd2O4. Source: the Materials Project database, functional r²SCAN.

SG	I4_1/a, No. 88
total moment	0.00	μB per cell
calculated formation energy	-1.79	eV/atom

Cell: 6.501 6.501 6.501 Å, 127.10 127.10 78.09°
Element x y z (fractional)
Gd 0.375 0.125 0.250
Gd 0.625 0.875 0.750
Pd 0.000 0.000 0.500
Pd 0.000 0.500 0.000
Pd 0.000 0.500 0.500
Pd 0.500 0.500 0.000
O 0.023 0.121 0.291
O 0.232 0.523 0.403
O 0.330 0.732 0.209
O 0.379 0.170 0.903
O 0.621 0.830 0.097
O 0.670 0.268 0.791
O 0.768 0.477 0.597
O 0.977 0.879 0.709

=====

An optimized crystal structure of Gd2ZnPtO6. Source: the Materials Project database, functional r²SCAN.

SG	P2_1/c, No. 14
total moment	28.00	μB per cell
calculated formation energy	-2.45	eV/atom

Cell: 5.366 5.769 9.361 Å, 90.00 124.73 90.00°
Element x y z (fractional)
Gd 0.229 0.075 0.251
Gd 0.229 0.425 0.751
Gd 0.771 0.575 0.249
Gd 0.771 0.925 0.749
Zn 0.500 0.000 0.000
Zn 0.500 0.500 0.500
Pt 0.000 0.000 0.500
Pt 0.000 0.500 0.000
O 0.123 0.199 0.941
O 0.123 0.301 0.441
O 0.254 0.691 0.944
O 0.254 0.809 0.444
O 0.365 0.042 0.748
O 0.365 0.458 0.248
O 0.635 0.542 0.752
O 0.635 0.958 0.252
O 0.746 0.191 0.556
O 0.746 0.309 0.056
O 0.877 0.699 0.559
O 0.877 0.801 0.059

=====

An optimized crystal structure of RbGdO2. Source: the Materials Project database, functional r²SCAN.

SG	R-3m, No. 166
total moment	21.00	μB per cell
calculated formation energy	-2.88	eV/atom

Cell: 3.543 3.543 19.559 Å, 90.00 90.00 120.00°
Element x y z (fractional)
Rb 0.000 0.000 0.000
Rb 0.333 0.667 0.667
Rb 0.667 0.333 0.333
Gd 0.000 0.000 0.500
Gd 0.333 0.667 0.167
Gd 0.667 0.333 0.833
O 0.000 0.000 0.226
O 0.000 0.000 0.774
O 0.333 0.667 0.440
O 0.333 0.667 0.893
O 0.667 0.333 0.107
O 0.667 0.333 0.560

=====

An optimized crystal structure of Sr3GdRhO6. Source: the Materials Project database, functional r²SCAN.

SG	R-3c, No. 167
total moment	14.04	μB per cell
calculated formation energy	-2.79	eV/atom

Cell: 6.824 6.824 6.824 Å, 91.87 91.87 91.87°
Element x y z (fractional)
Sr 0.119 0.750 0.381
Sr 0.250 0.619 0.881
Sr 0.381 0.119 0.750
Sr 0.619 0.881 0.250
Sr 0.750 0.381 0.119
Sr 0.881 0.250 0.619
Gd 0.250 0.250 0.250
Gd 0.750 0.750 0.750
Rh 0.000 0.000 0.000
Rh 0.500 0.500 0.500
O 0.047 0.913 0.709
O 0.087 0.291 0.953
O 0.209 0.413 0.547
O 0.291 0.953 0.087
O 0.413 0.547 0.209
O 0.453 0.791 0.587
O 0.547 0.209 0.413
O 0.587 0.453 0.791
O 0.709 0.047 0.913
O 0.791 0.587 0.453
O 0.913 0.709 0.047
O 0.953 0.087 0.291

=====

An optimized crystal structure of Gd3RuO7. Source: the Materials Project database, functional r²SCAN.

SG	Cmcm, No. 63
total moment	8.00	μB per cell
calculated formation energy	-2.99	eV/atom

Cell: 6.449 6.449 7.414 Å, 90.00 90.00 68.83°
Element x y z (fractional)
Gd 0.000 0.000 0.000
Gd 0.000 0.000 0.500
Gd 0.079 0.474 0.750
Gd 0.474 0.079 0.250
Gd 0.526 0.921 0.750
Gd 0.921 0.526 0.250
Ru 0.500 0.500 0.000
Ru 0.500 0.500 0.500
O 0.106 0.159 0.250
O 0.159 0.106 0.750
O 0.185 0.561 0.040
O 0.185 0.561 0.460
O 0.413 0.587 0.750
O 0.439 0.815 0.040
O 0.439 0.815 0.460
O 0.561 0.185 0.540
O 0.561 0.185 0.960
O 0.587 0.413 0.250
O 0.815 0.439 0.540
O 0.815 0.439 0.960
O 0.841 0.894 0.250
O 0.894 0.841 0.750

=====

An optimized crystal structure of Gd8Sb3O8. Source: the Materials Project database, functional r²SCAN.

SG	P1, No. 1
total moment	0.25	μB per cell
calculated formation energy	-3.01	eV/atom

Cell: 3.816 6.992 14.789 Å, 79.61 82.61 74.17°
Element x y z (fractional)
Gd 0.000 0.000 0.000
Gd 0.071 0.510 0.340
Gd 0.233 0.450 0.082
Gd 0.476 0.268 0.777
Gd 0.633 0.208 0.518
Gd 0.711 0.718 0.858
Gd 0.809 0.118 0.259
Gd 0.897 0.601 0.599
Sb 0.181 0.938 0.696
Sb 0.349 0.859 0.429
Sb 0.529 0.780 0.162
O 0.055 0.387 0.495
O 0.191 0.674 0.943
O 0.236 0.295 0.228
O 0.470 0.423 0.630
O 0.520 0.044 0.916
O 0.649 0.331 0.363
O 0.826 0.282 0.064
O 0.883 0.436 0.794